Compound: Zr6Co16Ge7
Source: Materials Project
Functional: PBE
Structure: relaxed

Computed properties:
Calculated formation energy (eV per atom): -0.47
Calculated volume (Å³/cell): 388.3

Geometry as CIF:
```
data_Zr6Co16Ge7
_symmetry_space_group_name_H-M 'P 1'
_symmetry_Int_Tables_number 1
_symmetry_space_group_name_Hall 'P 1'
_cell_length_a 8.189
_cell_length_b 8.189
_cell_length_c 8.189
_cell_angle_alpha 60.00
_cell_angle_beta 60.00
_cell_angle_gamma 60.00
loop_
_atom_site_label
_atom_site_fract_x
_atom_site_fract_y
_atom_site_fract_z
Zr1 0.206 0.206 0.794
Zr2 0.206 0.794 0.206
Zr3 0.206 0.794 0.794
Zr4 0.794 0.206 0.206
Zr5 0.794 0.206 0.794
Zr6 0.794 0.794 0.206
Co1 0.138 0.621 0.621
Co2 0.170 0.170 0.170
Co3 0.170 0.170 0.490
Co4 0.170 0.490 0.170
Co5 0.379 0.379 0.379
Co6 0.379 0.379 0.862
Co7 0.379 0.862 0.379
Co8 0.490 0.170 0.170
Co9 0.510 0.830 0.830
Co10 0.621 0.138 0.621
Co11 0.621 0.621 0.138
Co12 0.621 0.621 0.621
Co13 0.830 0.510 0.830
Co14 0.830 0.830 0.510
Co15 0.830 0.830 0.830
Co16 0.862 0.379 0.379
Ge1 0.000 0.000 0.500
Ge2 0.000 0.500 0.000
Ge3 0.000 0.500 0.500
Ge4 0.500 0.000 0.000
Ge5 0.500 0.000 0.500
Ge6 0.500 0.500 0.000
Ge7 0.500 0.500 0.500
```



Compound: CoH
Source: Materials Project
Functional: PBE
Structure: relaxed

Computed properties:
Calculated formation energy (eV per atom): -0.07
Calculated volume (Å³/cell): 12.7

Geometry as CIF:
```
data_CoH
_symmetry_space_group_name_H-M 'P 1'
_symmetry_Int_Tables_number 1
_symmetry_space_group_name_Hall 'P 1'
_cell_length_a 2.619
_cell_length_b 2.619
_cell_length_c 2.619
_cell_angle_alpha 60.00
_cell_angle_beta 60.00
_cell_angle_gamma 60.00
loop_
_atom_site_label
_atom_site_fract_x
_atom_site_fract_y
_atom_site_fract_z
Co1 0.000 0.000 0.000
H1 0.500 0.500 0.500
```



Compound: Co4H
Source: Materials Project
Functional: PBE
Structure: relaxed

Computed properties:
Calculated formation energy (eV per atom): -0.03
Calculated volume (Å³/cell): 45.3

Geometry as CIF:
```
data_Co4H
_symmetry_space_group_name_H-M 'P 1'
_symmetry_Int_Tables_number 1
_symmetry_space_group_name_Hall 'P 1'
_cell_length_a 2.533
_cell_length_b 2.533
_cell_length_c 8.153
_cell_angle_alpha 90.00
_cell_angle_beta 90.00
_cell_angle_gamma 120.00
loop_
_atom_site_label
_atom_site_fract_x
_atom_site_fract_y
_atom_site_fract_z
Co1 0.333 0.667 0.366
Co2 0.333 0.667 0.878
Co3 0.667 0.333 0.122
Co4 0.667 0.333 0.634
H1 0.000 0.000 0.500
```



Compound: CoH3
Source: Materials Project
Functional: PBE
Structure: relaxed

Computed properties:
Calculated formation energy (eV per atom): 0.12
Spin magnetization (μB/cell): 0.0
Calculated volume (Å³/cell): 17.8

Geometry as CIF:
```
data_CoH3
_symmetry_space_group_name_H-M 'P 1'
_symmetry_Int_Tables_number 1
_symmetry_space_group_name_Hall 'P 1'
_cell_length_a 2.611
_cell_length_b 2.611
_cell_length_c 2.611
_cell_angle_alpha 90.00
_cell_angle_beta 90.00
_cell_angle_gamma 90.00
loop_
_atom_site_label
_atom_site_fract_x
_atom_site_fract_y
_atom_site_fract_z
Co1 0.000 0.000 0.000
H1 0.000 0.500 0.500
H2 0.500 0.000 0.500
H3 0.500 0.500 0.000
```